## SmCd3 (PBE)

Data for SmCd3 after structural relaxation.

Results
crystal system	cubic
mass density	8.401	g/cm3
energy of formation	-0.30	eV/atom

Unit cell a=7.278 b=7.278 c=7.278 alpha=90.00 beta=90.00 gamma=90.00
Space group Fm-3m (No. 225)
Asymmetric unit:
Sm1 0.000 0.000 0.000 (multiplicity 4)
Cd1 0.000 0.000 0.500 (multiplicity 4)
Cd2 0.250 0.250 0.250 (multiplicity 8)

## Ca3SnF6 (PBE)

Data for Ca3SnF6 after structural relaxation.

Results
crystal system	triclinic
mass density	2.368	g/cm3
ΔE to the lowest computed polymorph	157	meV per atom
energy of formation	-3.26	eV/atom

Unit cell a=6.319 b=6.745 c=6.982 alpha=64.15 beta=83.56 gamma=67.84
Space group P-1 (No. 2)
Asymmetric unit:
Ca1 0.000 0.000 0.000 (multiplicity 1)
Ca2 0.000 0.000 0.500 (multiplicity 1)
Ca3 0.500 0.500 0.000 (multiplicity 1)
Sn1 0.000 0.500 0.500 (multiplicity 1)
F1 0.202 0.041 0.209 (multiplicity 2)
F2 0.221 0.583 0.201 (multiplicity 2)
F3 0.264 0.852 0.776 (multiplicity 2)

## CeMg3 (PBE)

Data for CeMg3 after structural relaxation.

Results
crystal system	orthorhombic
mass density	3.227	g/cm3
energy of formation	0.10	eV/atom

Unit cell a=3.181 b=11.486 c=6.000 alpha=90.00 beta=90.00 gamma=90.00
Space group Imm2 (No. 44)
Asymmetric unit:
Ce1 0.000 0.000 0.000 (multiplicity 2)
Mg1 0.000 0.244 0.338 (multiplicity 4)
Mg2 0.000 0.500 0.004 (multiplicity 2)

## InTe5Pb4 (PBE)

Data for InTe5Pb4 after structural relaxation.

Results
crystal system	trigonal
mass density	7.637	g/cm3
energy of formation	-0.36	eV/atom

Unit cell a=4.5884 b=4.5884 c=56.5848 alpha=90.00 beta=90.00 gamma=120.00
Space group R-3m (No. 166, hexagonal axes)
Asymmetric unit:
In1 0.0000 0.0000 0.0000 (multiplicity 3)
Te1 0.0000 0.0000 0.1003 (multiplicity 6)
Te2 0.0000 0.0000 0.3000 (multiplicity 6)
Te3 0.0000 0.0000 0.5000 (multiplicity 3)
Pb1 0.0000 0.0000 0.2002 (multiplicity 6)
Pb2 0.0000 0.0000 0.3986 (multiplicity 6)

## Zr7N2O11 (PBE)

Data for Zr7N2O11 after structural relaxation.

Results
crystal system	triclinic
mass density	5.743	g/cm3
energy of formation	-3.37	eV/atom

Unit cell a=8.158 b=8.182 c=8.202 alpha=73.16 beta=72.95 gamma=72.69
Space group P1 (No. 1)
Asymmetric unit:
Zr1 0.000 0.000 0.000 (multiplicity 1)
Zr2 0.005 0.841 0.637 (multiplicity 1)
Zr3 0.090 0.582 0.288 (multiplicity 1)
Zr4 0.156 0.387 0.923 (multiplicity 1)
Zr5 0.211 0.185 0.587 (multiplicity 1)
Zr6 0.321 0.948 0.246 (multiplicity 1)
Zr7 0.395 0.695 0.888 (multiplicity 1)
Zr8 0.439 0.499 0.539 (multiplicity 1)
Zr9 0.523 0.317 0.176 (multiplicity 1)
Zr10 0.605 0.098 0.794 (multiplicity 1)
Zr11 0.688 0.883 0.411 (multiplicity 1)
Zr12 0.749 0.700 0.043 (multiplicity 1)
Zr13 0.804 0.489 0.714 (multiplicity 1)
Zr14 0.890 0.229 0.339 (multiplicity 1)
N1 0.350 0.263 0.719 (multiplicity 1)
N2 0.629 0.514 0.972 (multiplicity 1)
N3 0.771 0.022 0.546 (multiplicity 1)
N4 0.844 0.930 0.875 (multiplicity 1)
O1 0.109 0.049 0.447 (multiplicity 1)
O2 0.115 0.146 0.122 (multiplicity 1)
O3 0.197 0.938 0.766 (multiplicity 1)
O4 0.213 0.806 0.109 (multiplicity 1)
O5 0.243 0.726 0.440 (multiplicity 1)
O6 0.274 0.592 0.762 (multiplicity 1)
O7 0.285 0.478 0.077 (multiplicity 1)
O8 0.314 0.408 0.390 (multiplicity 1)
O9 0.437 0.060 0.406 (multiplicity 1)
O10 0.476 0.147 0.055 (multiplicity 1)
O11 0.527 0.864 0.917 (multiplicity 1)
O12 0.564 0.775 0.262 (multiplicity 1)
O13 0.576 0.694 0.622 (multiplicity 1)
O14 0.642 0.397 0.342 (multiplicity 1)
O15 0.655 0.345 0.683 (multiplicity 1)
O16 0.776 0.128 0.187 (multiplicity 1)
O17 0.887 0.794 0.197 (multiplicity 1)
O18 0.913 0.690 0.514 (multiplicity 1)
O19 0.951 0.596 0.826 (multiplicity 1)
O20 0.953 0.477 0.158 (multiplicity 1)
O21 0.991 0.368 0.484 (multiplicity 1)
O22 0.996 0.261 0.825 (multiplicity 1)

## ThMg2 (PBE)

Data for ThMg2 after structural relaxation.

Results
crystal system	cubic
mass density	5.956	g/cm3
energy of formation	0.01	eV/atom

Unit cell a=8.554 b=8.554 c=8.554 alpha=90.00 beta=90.00 gamma=90.00
Space group Fd-3m (No. 227, origin choice 2)
Asymmetric unit:
Th1 0.125 0.125 0.125 (multiplicity 8)
Mg1 0.000 0.000 0.500 (multiplicity 16)

We obtain V values of 385 248 219 1032 487 626 Å³/cell for the records listed above, in that order.
We obtain E values of -34.7 -51.3 -20.6 -110.8 -381.4 -84.7 eV for the cell shown for the records listed above, in that order.